# 1
First-principles (GGA-PBE) data for a relaxed structure of TmAl10Fe2, as listed in Materials Project.

Results
**Symmetry**: No. 63

a b c (Å): 6.7376 6.7376 8.9498
angles (deg): 90.00 90.00 97.07
Closest atoms and distances in Å follow each position.
Sites, in units of the cell vectors:
Tm  0.8748  0.1252  0.7500  14 Al 3.10-3.27, 4 Fe 3.40
Tm  0.1252  0.8748  0.2500  14 Al 3.10-3.27, 4 Fe 3.40
Al  0.6257  0.3743  0.5475  6 Al 2.55-2.78, 2 Fe 2.59
Al  0.3743  0.6257  0.4525  6 Al 2.55-2.78, 2 Fe 2.59
Al  0.3743  0.6257  0.0475  6 Al 2.55-2.78, 2 Fe 2.59
Al  0.6257  0.3743  0.9525  6 Al 2.55-2.78, 2 Fe 2.59
Al  0.2269  0.2269  0.5000  2 Fe 2.53, 8 Al 2.68-2.80
Al  0.7731  0.7731  0.5000  2 Fe 2.53, 8 Al 2.68-2.80
Al  0.7731  0.7731  0.0000  2 Fe 2.53, 8 Al 2.68-2.80
Al  0.2269  0.2269  0.0000  2 Fe 2.53, 8 Al 2.68-2.80
Al  0.8434  0.1566  0.0963  6 Al 2.55-2.82, 2 Fe 2.57
Al  0.1566  0.8434  0.9037  6 Al 2.55-2.82, 2 Fe 2.57
Al  0.1566  0.8434  0.5963  6 Al 2.55-2.82, 2 Fe 2.57
Al  0.8434  0.1566  0.4037  6 Al 2.55-2.82, 2 Fe 2.57
Al  0.8659  0.5847  0.7500  2 Fe 2.51, 6 Al 2.58-2.79
Al  0.1341  0.4153  0.2500  2 Fe 2.51, 6 Al 2.58-2.79
Al  0.4153  0.1341  0.7500  2 Fe 2.51, 6 Al 2.58-2.79
Al  0.5847  0.8659  0.2500  2 Fe 2.51, 6 Al 2.58-2.79
Al  0.2203  0.4765  0.7500  5 Al 2.58-2.80, 2 Fe 2.70
Al  0.7797  0.5235  0.2500  5 Al 2.58-2.80, 2 Fe 2.70
Al  0.5235  0.7797  0.7500  5 Al 2.58-2.80, 2 Fe 2.70
Al  0.4765  0.2203  0.2500  5 Al 2.58-2.80, 2 Fe 2.70
Fe  0.0000  0.5000  0.5000  10 Al 2.51-2.70
Fe  0.0000  0.5000  0.0000  10 Al 2.51-2.70
Fe  0.5000  0.0000  0.0000  10 Al 2.51-2.70
Fe  0.5000  0.0000  0.5000  10 Al 2.51-2.70

# 2
First-principles (GGA-PBE) data for a relaxed structure of Nb12I21Br, as listed in Materials Project.

Results
**E above lowest polymorph**: 0 meV/atom
**Symmetry**: No. 4

a b c (Å): 11.4910 13.7359 15.5882
angles (deg): 89.90 90.00 90.00
Closest atoms and distances in Å follow each position.
Sites, in units of the cell vectors:
Nb  0.8865  0.7788  0.5998  4 Nb 2.70-3.00, 1 Br 2.89, 4 I 2.89-2.91
Nb  0.3865  0.2212  0.4002  4 Nb 2.70-3.00, 1 Br 2.89, 4 I 2.89-2.91
Nb  0.3895  0.7223  0.0973  4 Nb 2.70-2.97, 5 I 2.89-2.96
Nb  0.8895  0.2777  0.9027  4 Nb 2.70-2.97, 5 I 2.89-2.96
Nb  0.9282  0.8783  0.4534  4 Nb 2.70-3.00, 5 I 2.87-2.98
Nb  0.4282  0.1217  0.5466  4 Nb 2.70-3.00, 5 I 2.87-2.98
Nb  0.4296  0.6217  0.9519  4 Nb 2.70-3.01, 5 I 2.87-2.98
Nb  0.9296  0.3783  0.0481  4 Nb 2.70-3.01, 5 I 2.87-2.98
Nb  0.8687  0.6658  0.4479  4 Nb 2.79-3.00, 5 I 2.85-3.04
Nb  0.3687  0.3342  0.5521  4 Nb 2.79-3.00, 5 I 2.85-3.04
Nb  0.3705  0.8352  0.9464  4 Nb 2.79-3.01, 5 I 2.85-3.04
Nb  0.8705  0.1648  0.0536  4 Nb 2.79-3.01, 5 I 2.85-3.04
Nb  0.0882  0.7245  0.3915  4 Nb 2.79-2.96, 5 I 2.86-2.98
Nb  0.5882  0.2755  0.6085  4 Nb 2.79-2.96, 5 I 2.86-2.98
Nb  0.5893  0.7768  0.8889  4 Nb 2.79-2.98, 4 I 2.86-2.90, 1 Br 2.92
Nb  0.0893  0.2232  0.1111  4 Nb 2.79-2.98, 4 I 2.86-2.90, 1 Br 2.92
Nb  0.0729  0.6347  0.5562  4 Nb 2.69-3.00, 5 I 2.88-2.99
Nb  0.5729  0.3653  0.4438  4 Nb 2.69-3.00, 5 I 2.88-2.99
Nb  0.5737  0.8660  0.0546  4 Nb 2.69-2.97, 5 I 2.88-2.99
Nb  0.0737  0.1340  0.9454  4 Nb 2.69-2.97, 5 I 2.88-2.99
Nb  0.1314  0.8240  0.5512  4 Nb 2.69-2.98, 4 I 2.88-2.93
Nb  0.6314  0.1760  0.4488  4 Nb 2.69-2.98, 4 I 2.88-2.93
Nb  0.6332  0.6765  0.0502  4 Nb 2.69-2.96, 5 I 2.87-3.01
Nb  0.1332  0.3235  0.9498  4 Nb 2.69-2.96, 5 I 2.87-3.01
I  0.1872  0.4625  0.6381  2 Nb 2.99-3.04
I  0.6872  0.5375  0.3619  2 Nb 2.99-3.04
I  0.6874  0.0374  0.1382  2 Nb 2.99-3.04
I  0.1874  0.9626  0.8618  2 Nb 2.99-3.04
I  0.8437  0.5718  0.6131  3 Nb 2.89-2.91
I  0.3437  0.4282  0.3869  3 Nb 2.89-2.91
I  0.3447  0.9285  0.1121  3 Nb 2.89-2.91
I  0.8447  0.0715  0.8879  3 Nb 2.89-2.91
I  0.0325  0.5187  0.4019  3 Nb 2.85-2.93
I  0.5325  0.4813  0.5981  3 Nb 2.85-2.93
I  0.5341  0.9820  0.9002  3 Nb 2.85-2.92
I  0.0341  0.0180  0.0998  3 Nb 2.85-2.92
I  0.1568  0.9267  0.3874  3 Nb 2.89-2.93
I  0.6568  0.0733  0.6126  3 Nb 2.89-2.93
I  0.6579  0.5747  0.8871  3 Nb 2.89-2.92
I  0.1579  0.4253  0.1129  3 Nb 2.89-2.92
I  0.8930  0.7812  0.2892  3 Nb 2.86-2.95
I  0.3930  0.2188  0.7108  3 Nb 2.86-2.95
I  0.3940  0.7193  0.7878  3 Nb 2.86-2.95
I  0.8940  0.2807  0.2122  3 Nb 2.86-2.95
I  0.2975  0.6851  0.4868  3 Nb 2.88
I  0.7975  0.3149  0.5132  3 Nb 2.88
I  0.7984  0.8154  0.9853  3 Nb 2.87-2.88
I  0.2984  0.1846  0.0147  3 Nb 2.87-2.88
I  0.9781  0.9755  0.6120  3 Nb 2.87-2.91
I  0.4781  0.0245  0.3880  3 Nb 2.87-2.91
I  0.4793  0.5245  0.1108  3 Nb 2.87-2.91
I  0.9793  0.4755  0.8892  3 Nb 2.87-2.91
I  0.6947  0.8097  0.4833  3 Nb 2.87-2.89
I  0.1947  0.1903  0.5167  3 Nb 2.87-2.89
I  0.1966  0.6907  0.9814  3 Nb 2.87-2.89
I  0.6966  0.3093  0.0186  3 Nb 2.87-2.89
I  0.0756  0.7372  0.7172  3 Nb 2.88-2.92
I  0.5756  0.2628  0.2828  3 Nb 2.88-2.92
I  0.5771  0.7632  0.2162  3 Nb 2.89-2.92
I  0.0771  0.2368  0.7838  3 Nb 2.89-2.92
I  0.8405  0.0666  0.3834  2 Nb 2.98-3.01
I  0.3405  0.9334  0.6166  2 Nb 2.98-3.01
I  0.3407  0.4334  0.8832  2 Nb 2.98-3.01
I  0.8407  0.5666  0.1168  2 Nb 2.98-3.01
I  0.2146  0.6747  0.2307  2 Nb 2.96-2.98
I  0.7146  0.3253  0.7693  2 Nb 2.96-2.98
Br  0.7173  0.8209  0.7315  2 Nb 2.89-2.92
Br  0.2173  0.1791  0.2685  2 Nb 2.89-2.92

# 3
First-principles (GGA-PBE) data for a relaxed structure of Mg2H18Se2O17, as listed in Materials Project.

Results
**Symmetry**: No. 14

a b c (Å): 7.2876 10.5442 20.1843
angles (deg): 90.00 90.00 102.51
Closest atoms and distances in Å follow each position.
Sites, in units of the cell vectors:
Mg  0.2615  0.4769  0.6497  6 O 2.08-2.15
Mg  0.2385  0.5231  0.1497  6 O 2.08-2.15
Mg  0.7385  0.5231  0.3503  6 O 2.08-2.15
Mg  0.7615  0.4769  0.8503  6 O 2.08-2.15
Mg  0.2442  0.9839  0.6208  6 O 2.06-2.13
Mg  0.2558  0.0161  0.1208  6 O 2.06-2.13
Mg  0.7558  0.0161  0.3792  6 O 2.06-2.13
Mg  0.7442  0.9839  0.8792  6 O 2.06-2.13
H  0.9558  0.5534  0.5944  1 O 1.00
H  0.5442  0.4466  0.0944  1 O 1.00
H  0.0442  0.4466  0.4056  1 O 1.00
H  0.4558  0.5534  0.9056  1 O 1.00
H  0.5562  0.0962  0.6901  1 O 1.00
H  0.9438  0.9038  0.1901  1 O 1.00
H  0.4438  0.9038  0.3099  1 O 1.00
H  0.0562  0.0962  0.8099  1 O 1.00
H  0.9280  0.8719  0.6944  1 O 0.99
H  0.5720  0.1281  0.1944  1 O 0.99
H  0.0720  0.1281  0.3056  1 O 0.99
H  0.4280  0.8719  0.8056  1 O 0.99
H  0.1109  0.8660  0.7353  1 O 0.99
H  0.3891  0.1340  0.2353  1 O 0.99
H  0.8891  0.1340  0.2647  1 O 0.99
H  0.6109  0.8660  0.7647  1 O 0.99
H  0.0628  0.1499  0.4446  1 O 1.00
H  0.4372  0.8501  0.9446  1 O 1.00
H  0.9372  0.8501  0.5554  1 O 1.00
H  0.5628  0.1499  0.0554  1 O 1.00
H  0.3877  0.1065  0.5050  1 O 0.99
H  0.1123  0.8935  0.0050  1 O 0.99
H  0.6123  0.8935  0.4950  1 O 0.99
H  0.8877  0.1065  0.9950  1 O 0.99
H  0.6452  0.4817  0.5732  1 O 0.98
H  0.8548  0.5183  0.0732  1 O 0.98
H  0.3548  0.5183  0.4268  1 O 0.98
H  0.1452  0.4817  0.9268  1 O 0.98
H  0.7694  0.3830  0.5511  1 O 0.99
H  0.7306  0.6170  0.0511  1 O 0.99
H  0.2306  0.6170  0.4489  1 O 0.99
H  0.2694  0.3830  0.9489  1 O 0.99
H  0.5566  0.1254  0.5570  1 O 0.99
H  0.9434  0.8746  0.0570  1 O 0.99
H  0.4434  0.8746  0.4430  1 O 0.99
H  0.0566  0.1254  0.9430  1 O 0.99
H  0.4807  0.3680  0.7335  1 O 0.98
H  0.0193  0.6320  0.2335  1 O 0.98
H  0.5193  0.6320  0.2665  1 O 0.98
H  0.9807  0.3680  0.7665  1 O 0.98
H  0.4156  0.2647  0.6790  1 O 1.00
H  0.0844  0.7353  0.1790  1 O 1.00
H  0.5844  0.7353  0.3210  1 O 1.00
H  0.9156  0.2647  0.8210  1 O 1.00
H  0.3775  0.0911  0.7374  1 O 1.00
H  0.1225  0.9089  0.2374  1 O 1.00
H  0.6225  0.9089  0.2626  1 O 1.00
H  0.8775  0.0911  0.7626  1 O 1.00
H  0.2526  0.4239  0.5178  1 O 0.99
H  0.2474  0.5761  0.0178  1 O 0.99
H  0.7474  0.5761  0.4822  1 O 0.99
H  0.7526  0.4239  0.9822  1 O 0.99
H  0.2312  0.6393  0.7617  1 O 1.00
H  0.2688  0.3607  0.2617  1 O 1.00
H  0.7688  0.3607  0.2383  1 O 1.00
H  0.7312  0.6393  0.7383  1 O 1.00
H  0.1146  0.6809  0.6101  1 O 0.98
H  0.3854  0.3191  0.1101  1 O 0.98
H  0.8854  0.3191  0.3899  1 O 0.98
H  0.6146  0.6809  0.8899  1 O 0.98
H  0.3505  0.5393  0.7810  1 O 0.98
H  0.1495  0.4607  0.2810  1 O 0.98
H  0.6495  0.4607  0.2190  1 O 0.98
H  0.8505  0.5393  0.7190  1 O 0.98
H  0.2364  0.2877  0.5574  1 O 0.99
H  0.2636  0.7123  0.0574  1 O 0.99
H  0.7635  0.7123  0.4426  1 O 0.99
H  0.7365  0.2877  0.9426  1 O 0.99
H  0.8866  0.1594  0.4915  1 O 0.99
H  0.6134  0.8406  0.9915  1 O 0.99
H  0.1134  0.8406  0.5085  1 O 0.99
H  0.3866  0.1594  0.0085  1 O 0.99
Se  0.9218  0.1973  0.6336  4 O 1.67-1.69
Se  0.5782  0.8027  0.1336  4 O 1.67-1.69
Se  0.0782  0.8027  0.3664  4 O 1.67-1.69
Se  0.4218  0.1973  0.8664  4 O 1.67-1.69
Se  0.5680  0.7659  0.6279  4 O 1.66-1.69
Se  0.9320  0.2341  0.1279  4 O 1.66-1.69
Se  0.4320  0.2341  0.3721  4 O 1.66-1.69
Se  0.0680  0.7659  0.8721  4 O 1.66-1.69
O  0.7860  0.0956  0.6860  1 Se 1.67, 2 H 1.68-1.69
O  0.7140  0.9044  0.1860  1 Se 1.67, 2 H 1.68-1.69
O  0.2140  0.9044  0.3140  1 Se 1.67, 2 H 1.68-1.69
O  0.2860  0.0956  0.8140  1 Se 1.67, 2 H 1.68-1.69
O  0.4925  0.6082  0.6103  1 Se 1.67
O  0.0075  0.3918  0.1103  1 Se 1.67
O  0.5075  0.3918  0.3897  1 Se 1.67
O  0.9925  0.6082  0.8897  1 Se 1.67
O  0.7939  0.2213  0.5669  1 Se 1.69, 3 H 1.78-1.84
O  0.7061  0.7787  0.0669  1 Se 1.69, 3 H 1.78-1.84
O  0.2061  0.7787  0.4331  1 Se 1.69, 3 H 1.78-1.84
O  0.2939  0.2213  0.9331  1 Se 1.69, 3 H 1.78-1.84
O  0.0067  0.3382  0.6730  1 Se 1.68
O  0.4933  0.6618  0.1730  1 Se 1.68
O  0.9933  0.6618  0.3270  1 Se 1.68
O  0.5067  0.3382  0.8270  1 Se 1.68
O  0.6949  0.7798  0.6987  1 Se 1.69, 3 H 1.75-1.79
O  0.8051  0.2202  0.1987  1 Se 1.69, 3 H 1.75-1.79
O  0.3051  0.2202  0.3013  1 Se 1.69, 3 H 1.75-1.79
O  0.1949  0.7798  0.8013  1 Se 1.69, 3 H 1.75-1.79
O  0.9237  0.1419  0.4459  2 H 0.99-1.00
O  0.5763  0.8581  0.9459  2 H 0.99-1.00
O  0.0763  0.8581  0.5541  2 H 0.99-1.00
O  0.4237  0.1419  0.0541  2 H 0.99-1.00
O  0.7041  0.8400  0.5663  1 Se 1.67, 2 H 1.69-1.73
O  0.7959  0.1600  0.0663  1 Se 1.67, 2 H 1.69-1.73
O  0.2959  0.1600  0.4337  1 Se 1.67, 2 H 1.69-1.73
O  0.2041  0.8400  0.9337  1 Se 1.67, 2 H 1.69-1.73
O  0.1009  0.1375  0.6050  1 Se 1.67
O  0.3991  0.8625  0.1050  1 Se 1.67
O  0.8991  0.8625  0.3950  1 Se 1.67
O  0.6009  0.1375  0.8950  1 Se 1.67
O  0.0682  0.5898  0.6227  2 H 0.98-1.00
O  0.4318  0.4102  0.1227  2 H 0.98-1.00
O  0.9318  0.4102  0.3773  2 H 0.98-1.00
O  0.5682  0.5898  0.8773  2 H 0.98-1.00
O  0.4202  0.1003  0.6902  2 H 1.00
O  0.0798  0.8997  0.1902  2 H 1.00
O  0.5798  0.8997  0.3098  2 H 1.00
O  0.9202  0.1003  0.8098  2 H 1.00
O  0.3813  0.8301  0.6389  1 Se 1.66
O  0.1187  0.1699  0.1389  1 Se 1.66
O  0.6187  0.1699  0.3611  1 Se 1.66
O  0.8813  0.8301  0.8611  1 Se 1.66
O  0.0645  0.9110  0.6979  2 H 0.99
O  0.4355  0.0890  0.1979  2 H 0.99
O  0.9355  0.0890  0.3021  2 H 0.99
O  0.5645  0.9110  0.8021  2 H 0.99
O  0.4241  0.0812  0.5497  2 H 0.99
O  0.0759  0.9188  0.0497  2 H 0.99
O  0.5759  0.9188  0.4503  2 H 0.99
O  0.9241  0.0812  0.9503  2 H 0.99
O  0.4337  0.3596  0.6877  2 H 0.98-1.00
O  0.0663  0.6404  0.1877  2 H 0.98-1.00
O  0.5663  0.6404  0.3123  2 H 0.98-1.00
O  0.9337  0.3596  0.8123  2 H 0.98-1.00
O  0.2777  0.3829  0.5600  2 H 0.99
O  0.2223  0.6171  0.0600  2 H 0.99
O  0.7223  0.6171  0.4400  2 H 0.99
O  0.7777  0.3829  0.9400  2 H 0.99
O  0.7630  0.4763  0.5506  2 H 0.98-0.99
O  0.7370  0.5237  0.0506  2 H 0.98-0.99
O  0.2370  0.5237  0.4494  2 H 0.98-0.99
O  0.2630  0.4763  0.9494  2 H 0.98-0.99
O  0.2726  0.5608  0.7452  2 H 0.98-1.00
O  0.2274  0.4392  0.2452  2 H 0.98-1.00
O  0.7274  0.4392  0.2548  2 H 0.98-1.00
O  0.7726  0.5608  0.7548  2 H 0.98-1.00

# 4
First-principles (GGA-PBE) data for a relaxed structure of Sr2GdRuO6, as listed in Materials Project.

Results
**E above lowest polymorph**: 586 meV/atom
**Symmetry**: No. 12

a b c (Å): 5.8399 5.8399 5.9194
angles (deg): 60.35 60.35 60.42
Closest atoms and distances in Å follow each position.
Sites, in units of the cell vectors:
Sr  0.7515  0.7515  0.7345  5 O 2.54-2.63
Sr  0.2485  0.2485  0.2655  5 O 2.54-2.63
Gd  0.0000  0.0000  0.0000  6 O 2.26-2.27
Ru  0.5000  0.5000  0.5000  6 O 1.99
O  0.7311  0.7311  0.1828  1 Ru 1.99
O  0.2689  0.2689  0.8172  1 Ru 1.99
O  0.3119  0.7846  0.6833  1 Ru 1.99
O  0.2154  0.6881  0.3167  1 Ru 1.99
O  0.6881  0.2154  0.3167  1 Ru 1.99
O  0.7846  0.3119  0.6833  1 Ru 1.99

| no. | energy of formation (eV/f.u.) |
| --- | --- |
| 1 | -4.53 |
| 2 | -16.42 |
| 3 | -57.00 |
| 4 | -22.43 |